PBE Er2S3O12, optimized geometry; energy = -6.95 eV per atom; mass density = 3.723 Mg/m³
1.0
12.899 0.000 0.000
0.000 9.236 0.000
0.000 0.000 9.325
Er S O
8 12 48
Cartesian
1.503 2.304 0.335
1.503 6.932 4.998
4.946 2.314 4.998
4.946 6.922 0.335
7.953 2.314 8.990
7.953 6.922 4.327
11.396 2.304 4.327
11.396 6.932 8.990
0.000 0.312 6.994
0.000 8.924 2.331
1.878 3.621 3.634
1.878 5.615 8.297
4.572 0.997 8.297
4.572 8.239 3.634
6.449 4.306 2.331
6.449 4.930 6.994
8.327 0.997 5.691
8.327 8.239 1.028
11.021 3.621 1.028
11.021 5.615 5.691
0.548 3.084 3.998
0.548 6.152 8.661
0.766 1.171 7.921
0.766 8.065 3.258
0.951 0.537 1.575
0.951 8.699 6.238
1.893 4.145 8.474
1.893 5.091 3.811
2.178 3.305 2.217
2.178 5.931 6.880
2.900 3.009 4.515
2.900 6.227 9.177
3.549 1.609 9.177
3.549 7.627 4.515
4.272 1.313 6.880
4.272 7.923 2.217
4.557 0.473 3.811
4.557 8.763 8.474
5.499 4.081 6.238
5.499 5.154 1.575
5.683 3.447 3.258
5.683 5.788 7.921
5.902 1.534 8.661
5.902 7.702 3.998
6.997 1.534 5.326
6.997 7.702 0.664
7.216 3.447 1.404
7.216 5.788 6.066
7.400 4.081 7.750
7.400 5.154 3.087
8.342 0.473 0.851
8.342 8.763 5.514
8.627 1.313 7.108
8.627 7.923 2.445
9.350 1.609 4.810
9.350 7.627 0.147
9.999 3.009 0.147
9.999 6.227 4.810
10.721 3.305 2.445
10.721 5.931 7.108
11.006 4.145 5.514
11.006 5.091 0.851
11.948 0.537 3.087
11.948 8.699 7.750
12.132 1.171 6.066
12.132 8.065 1.404
12.351 3.084 0.664
12.351 6.152 5.326

PBE ZrMn6Ga2Sn4, optimized geometry; size of the total moment = 13.245 μB per formula unit; energy above the lowest structure with this stoichiometry = 0.034 eV per atom; mass density = 7.827 Mg/m³
1.0
5.312 0.000 0.000
-2.656 4.600 0.000
0.000 0.000 8.987
Zr Mn Ga Sn
1 6 2 4
Cartesian
0.000 0.000 0.000
-1.328 2.300 2.236
-1.328 2.300 6.751
2.656 0.000 2.236
2.656 0.000 6.751
1.328 2.300 2.236
1.328 2.300 6.751
0.000 0.000 2.795
0.000 0.000 6.191
0.000 3.067 0.000
0.000 3.067 4.493
2.656 1.533 0.000
2.656 1.533 4.493

PBE NaCdP3O9, optimized geometry; size of the total moment = 0.000 μB per formula unit; energy = -6.58 eV per atom; mass density = 2.960 Mg/m³
1.0
14.915 0.000 0.000
0.000 14.920 0.000
0.000 0.000 15.017
Na Cd P O
16 16 48 144
Cartesian
0.093 0.092 0.001
0.134 7.529 14.943
3.634 3.715 11.323
3.662 3.657 3.785
3.796 11.264 11.293
3.823 11.206 3.814
7.323 7.391 7.435
7.364 14.828 7.509
7.551 7.368 15.016
7.592 14.852 0.073
11.092 3.746 3.694
11.119 3.804 11.232
11.253 11.117 3.724
11.281 11.175 11.202
14.781 0.069 7.582
14.822 7.552 7.507
1.720 12.944 13.123
1.827 5.536 1.896
1.891 9.323 5.629
2.006 1.766 9.325
5.451 13.154 1.817
5.567 5.597 13.137
5.630 9.384 9.404
5.737 1.977 5.615
9.178 9.437 1.894
9.285 1.924 13.121
9.348 13.057 9.388
9.464 5.694 5.692
12.909 9.227 13.200
13.024 1.863 1.880
13.088 12.996 5.613
13.195 5.483 9.402
0.085 10.784 10.858
0.264 11.605 3.343
0.354 3.809 7.074
0.385 7.809 11.100
0.393 11.433 7.932
0.402 14.586 3.514
3.332 4.118 7.246
3.345 7.240 10.878
3.356 14.775 4.116
3.371 11.605 7.789
3.574 7.074 7.892
3.626 14.524 7.086
3.832 0.396 14.594
3.884 7.846 0.384
4.086 3.315 0.281
4.101 0.146 11.624
4.113 7.680 3.370
4.126 10.803 14.755
7.055 0.335 11.022
7.065 3.488 0.424
7.073 7.111 3.592
7.104 11.111 14.582
7.193 3.315 10.851
7.373 4.137 3.350
7.542 11.597 4.159
7.722 10.776 11.674
7.811 3.651 7.942
7.850 10.948 7.084
7.843 14.571 3.916
7.860 7.795 11.503
10.789 3.343 7.770
10.802 0.220 4.139
10.814 7.606 10.901
10.829 10.775 7.228
11.031 0.386 7.125
11.083 7.857 7.930
11.289 7.064 0.422
11.341 14.534 14.633
11.544 4.145 14.736
11.559 7.315 3.392
11.570 14.700 11.647
11.583 11.578 0.262
14.513 7.126 3.995
14.530 0.349 11.424
14.523 3.972 14.592
14.561 11.269 0.434
14.651 4.145 4.166
14.830 3.324 11.667
0.099 14.471 12.601
0.218 7.878 5.136
0.236 10.909 1.891
0.265 7.079 2.649
0.279 3.885 13.132
0.295 5.113 0.271
0.373 0.363 10.127
0.382 12.442 14.872
0.399 2.495 7.806
0.424 10.064 7.310
0.618 9.298 10.515
0.721 13.105 2.954
1.128 4.137 3.587
1.227 3.292 10.933
1.265 11.524 11.419
1.398 10.977 4.097
1.828 4.356 6.706
1.869 7.352 11.511
1.874 0.294 3.684
1.878 11.947 8.294
2.413 0.148 7.791
2.418 7.668 7.141
2.536 14.559 14.591
2.551 7.148 0.427
3.017 6.749 9.373
3.139 14.151 5.592
3.316 13.790 11.651
3.325 3.517 8.625
3.369 10.942 6.441
3.388 3.959 1.446
3.390 11.465 13.627
3.445 1.846 0.160
3.465 6.325 3.379
3.469 8.845 4.068
3.545 9.309 14.825
3.653 1.318 10.794
3.805 13.603 3.286
3.912 5.611 7.316
3.988 6.076 11.576
3.992 8.596 10.887
4.013 13.075 7.668
4.068 3.455 6.119
4.070 10.962 8.954
4.089 3.978 13.949
4.133 11.404 1.116
4.141 1.131 4.142
4.318 0.769 13.100
4.441 8.172 1.865
4.906 7.772 7.935
4.922 0.361 7.083
5.039 7.252 14.649
5.044 14.772 0.282
5.579 2.973 0.786
5.583 14.626 11.192
5.588 7.568 4.002
5.629 10.564 14.214
6.059 3.943 11.605
6.192 3.397 3.910
6.231 11.628 3.425
6.330 10.784 11.095
6.736 1.815 10.462
6.839 5.622 3.007
7.033 4.857 14.818
7.058 12.425 0.298
7.076 2.478 7.364
7.085 14.558 2.619
7.163 9.807 7.779
7.178 11.036 5.624
7.193 7.841 10.157
7.221 4.012 9.400
7.240 7.043 12.645
7.359 0.450 5.093
7.556 7.910 2.416
7.676 14.503 9.880
7.694 11.472 13.125
7.722 0.381 12.368
7.737 3.575 1.884
7.753 2.347 14.745
7.830 7.098 4.890
7.839 9.938 0.145
7.857 4.965 7.210
7.882 12.317 7.707
8.076 13.082 4.502
8.179 9.275 12.063
8.585 3.323 11.429
8.684 4.168 4.083
8.723 10.857 3.598
8.856 11.403 10.920
9.286 3.104 8.311
9.327 0.108 3.506
9.332 7.166 11.333
9.336 10.433 6.723
9.871 7.312 7.226
9.876 14.712 7.875
9.993 7.821 0.425
10.009 0.312 14.590
10.475 0.711 5.644
10.597 8.229 9.425
10.774 8.591 3.366
10.782 3.943 6.392
10.826 11.439 8.576
10.846 3.502 13.571
10.847 10.915 1.389
10.903 5.614 14.856
10.923 1.135 11.638
10.927 13.536 10.949
11.003 13.071 0.192
11.110 6.142 4.223
11.263 8.778 11.731
11.370 1.849 7.700
11.446 1.384 3.440
11.450 13.785 4.130
11.470 9.306 7.348
11.525 4.005 8.897
11.527 11.419 6.063
11.547 3.482 1.068
11.590 10.977 13.900
11.599 6.329 10.874
11.776 6.691 1.916
11.898 14.209 13.152
12.364 14.609 7.082
12.379 7.099 7.934
12.497 0.208 0.367
12.502 7.608 14.734
13.037 4.487 14.231
13.041 7.754 3.825
13.046 14.813 11.014
13.087 11.816 0.803
13.517 3.517 3.411
13.650 4.063 11.106
13.689 10.752 11.592
13.787 11.597 3.921
14.194 5.645 4.555
14.297 1.838 12.010
14.491 2.603 0.198
14.516 9.956 14.719
14.533 4.982 7.653
14.543 7.823 12.398
14.620 12.573 7.237
14.636 11.345 9.393
14.651 14.539 4.859
14.679 3.448 5.617
14.697 0.418 2.372
14.816 7.010 9.924

| no. | V (Å³ per atom) |
| --- | --- |
| 1 | 16.34 |
| 2 | 16.89 |
| 3 | 14.92 |